Record 1
The following is a DFT calculation (meta-GGA r2SCAN) of a geometry-optimized Th3B2C3 structure.

```
data_Th3B2C3
_chemical_formula_sum 'Th3 B2 C3'
_cell_length_a 3.740
_cell_length_b 3.792
_cell_length_c 9.251
_cell_angle_alpha 90.00
_cell_angle_beta 99.74
_cell_angle_gamma 90.00
_symmetry_space_group_name_H-M 'P 1 2/m 1'
_symmetry_Int_Tables_number 10
loop_
_symmetry_equiv_pos_as_xyz
'x,y,z'
'-x,-y,-z'
'-x,y,-z'
'x,-y,z'
loop_
_atom_site_label
_atom_site_type_symbol
_atom_site_fract_x
_atom_site_fract_y
_atom_site_fract_z
Th1 Th 0.000 0.000 0.000
Th2 Th 0.379 0.500 0.698
B1 B 0.139 0.000 0.440
C1 C 0.115 0.000 0.276
C2 C 0.500 0.500 0.000
```

Record 2
The following is a DFT calculation (meta-GGA r2SCAN) of a geometry-optimized ThBC structure.

```
data_ThBC
_chemical_formula_sum 'Th8 B8 C8'
_cell_length_a 3.790
_cell_length_b 3.790
_cell_length_c 25.372
_cell_angle_alpha 90.00
_cell_angle_beta 90.00
_cell_angle_gamma 90.00
_symmetry_space_group_name_H-M 'P 41 2 2'
_symmetry_Int_Tables_number 91
loop_
_symmetry_equiv_pos_as_xyz
'x,y,z'
'-y,x,z+1/4'
'-x,-y,z+1/2'
'y,-x,z+3/4'
'x,-y,-z+1/2'
'-y,-x,-z+1/4'
'-x,y,-z'
'y,x,-z+3/4'
loop_
_atom_site_label
_atom_site_type_symbol
_atom_site_fract_x
_atom_site_fract_y
_atom_site_fract_z
Th1 Th 0.189 0.305 0.071
B1 B 0.198 0.351 0.227
C1 C 0.187 0.305 0.168
```

Record 3
The following is a DFT calculation (meta-GGA r2SCAN) of a geometry-optimized TmB2C structure.

```
data_TmB2C
_chemical_formula_sum 'Tm8 B16 C8'
_cell_length_a 6.741
_cell_length_b 6.741
_cell_length_c 7.267
_cell_angle_alpha 90.00
_cell_angle_beta 90.00
_cell_angle_gamma 90.00
_symmetry_space_group_name_H-M 'P 42/m b c'
_symmetry_Int_Tables_number 135
_symmetry_space_group_name_Hall '-P 4c 2ab'
loop_
_atom_site_label
_atom_site_type_symbol
_atom_site_fract_x
_atom_site_fract_y
_atom_site_fract_z
Tm1 Tm 0.191 0.309 0.250
B1 B 0.034 0.848 0.000
B2 B 0.094 0.597 0.000
C1 C 0.040 0.822 0.500
```

| no. | final energy (eV/atom) | DFT formation energy (eV per formula unit) |
| --- | --- | --- |
| 1 | -33.666 | -4.37 |
| 2 | -30.843 | -1.76 |
| 3 | -15.594 | -2.61 |